# HfI3 | the Materials Project database | r²SCAN | relaxed
data_HfI3
_cell_length_a 7.6280
_cell_length_b 7.6280
_cell_length_c 6.4695
_cell_angle_alpha 90.00
_cell_angle_beta 90.00
_cell_angle_gamma 120.00
_space_group_name_H-M_alt 'P 63/m c m'
_space_group_IT_number 193
_space_group_name_Hall '-P 6c 2'
loop_
_atom_site_label
_atom_site_type_symbol
_atom_site_fract_x
_atom_site_fract_y
_atom_site_fract_z
Hf1 Hf 0.0000 0.0000 0.0000
I1 I 0.0000 0.3135 0.2500
# Spin magnetization = 0.00 μB/cell
# Energy = -245.84 eV per cell